Version 1
## Mg2Sb3O8 (PBE-GGA)

Data for a relaxed Mg2Sb3O8 crystal.

Results
* crystal system: monoclinic

a b c (Å): 6.419 6.419 5.516
angles (deg): 69.68 69.68 59.86
Atoms (fractional coordinates):
Sb (0.265, 0.735, 0.000)
Sb (0.000, 0.000, 0.500)
Sb (0.735, 0.265, 0.000)
O (0.879, 0.366, 0.606)
O (0.887, 0.887, 0.967)
O (0.366, 0.879, 0.606)
O (0.634, 0.121, 0.394)
O (0.604, 0.604, 0.087)
O (0.396, 0.396, 0.913)
O (0.121, 0.634, 0.394)
O (0.113, 0.113, 0.033)
Mg (0.285, 0.285, 0.640)
Mg (0.715, 0.715, 0.360)

---

Version 2
## Mg2Sb3O8 (PBE-GGA)

Data for a relaxed Mg2Sb3O8 crystal.

Results
* crystal system: hexagonal

a b c (Å): 6.535 6.535 9.625
angles (deg): 90.00 90.00 120.00
Atoms (fractional coordinates):
O (0.518, 0.035, 0.876)
O (0.339, 0.170, 0.146)
O (0.667, 0.333, 0.617)
O (0.482, 0.518, 0.376)
O (0.333, 0.667, 0.117)
O (0.035, 0.518, 0.376)
O (0.170, 0.339, 0.646)
O (0.000, 0.000, 0.848)
O (0.965, 0.482, 0.876)
O (0.170, 0.830, 0.646)
O (0.000, 0.000, 0.348)
O (0.830, 0.170, 0.146)
O (0.518, 0.482, 0.876)
O (0.830, 0.661, 0.146)
O (0.482, 0.965, 0.376)
O (0.661, 0.830, 0.646)
Sb (0.165, 0.330, 0.242)
Sb (0.330, 0.165, 0.742)
Sb (0.670, 0.835, 0.242)
Sb (0.835, 0.670, 0.742)
Sb (0.165, 0.835, 0.242)
Sb (0.835, 0.165, 0.742)
Mg (0.333, 0.667, 0.905)
Mg (0.667, 0.333, 0.029)
Mg (0.667, 0.333, 0.405)
Mg (0.333, 0.667, 0.529)

---

Most stable: version 2 (next structure +13 meV/atom)

---

Version 1
## Al2SiO5 (PBE-GGA)

Data for a relaxed Al2SiO5 crystal.

Results
* crystal system: monoclinic

a b c (Å): 5.706 15.399 11.179
angles (deg): 46.50 90.00 90.00
Atoms (fractional coordinates):
Al (0.500, 0.505, 0.486)
Al (0.750, 0.750, 0.321)
Al (0.750, 0.050, 0.203)
Al (0.250, 0.262, 0.801)
Al (0.750, 0.239, 0.189)
Al (0.750, 0.574, 0.674)
Al (0.002, 0.001, 0.003)
Al (0.250, 0.431, 0.304)
Al (0.498, 0.001, 0.003)
Al (0.499, 0.496, 0.990)
Al (0.250, 0.751, 0.830)
Al (0.993, 0.996, 0.508)
Al (0.507, 0.996, 0.508)
Al (0.001, 0.496, 0.990)
Al (0.000, 0.505, 0.486)
Al (0.750, 0.066, 0.697)
Si (0.750, 0.550, 0.182)
Si (0.750, 0.249, 0.702)
Si (0.250, 0.454, 0.787)
Si (0.250, 0.935, 0.309)
Si (0.250, 0.756, 0.292)
Si (0.250, 0.948, 0.806)
Si (0.250, 0.248, 0.295)
Si (0.750, 0.740, 0.820)
O (0.750, 0.016, 0.599)
O (0.750, 0.725, 0.498)
O (0.750, 0.894, 0.115)
O (0.250, 0.793, 0.401)
O (0.250, 0.382, 0.100)
O (0.485, 0.508, 0.805)
O (0.014, 0.682, 0.322)
O (0.750, 0.611, 0.871)
O (0.750, 0.391, 0.085)
O (0.250, 0.489, 0.394)
O (0.012, 0.001, 0.825)
O (0.250, 0.003, 0.613)
O (0.016, 0.173, 0.322)
O (0.988, 0.325, 0.669)
O (0.983, 0.817, 0.712)
O (0.250, 0.311, 0.903)
O (0.250, 0.110, 0.906)
O (0.488, 0.001, 0.825)
O (0.988, 0.492, 0.176)
O (0.015, 0.508, 0.805)
O (0.512, 0.325, 0.669)
O (0.750, 0.202, 0.075)
O (0.250, 0.508, 0.597)
O (0.250, 0.888, 0.101)
O (0.750, 0.218, 0.590)
O (0.750, 0.988, 0.408)
O (0.750, 0.115, 0.897)
O (0.250, 0.804, 0.928)
O (0.750, 0.512, 0.584)
O (0.750, 0.694, 0.006)
O (0.517, 0.817, 0.712)
O (0.486, 0.682, 0.322)
O (0.250, 0.963, 0.427)
O (0.250, 0.605, 0.910)
O (0.512, 0.492, 0.176)
O (0.250, 0.280, 0.407)
O (0.015, 0.995, 0.189)
O (0.485, 0.995, 0.189)
O (0.750, 0.517, 0.357)
O (0.484, 0.173, 0.322)

---

Version 2
## Al2SiO5 (PBE-GGA)

Data for a relaxed Al2SiO5 crystal.

Results
* crystal system: orthorhombic

a b c (Å): 5.614 7.876 7.979
angles (deg): 90.00 90.00 90.00
Atoms (fractional coordinates):
O (0.500, 0.076, 0.864)
O (0.500, 0.576, 0.637)
O (0.000, 0.076, 0.863)
O (0.240, 0.769, 0.866)
O (0.740, 0.731, 0.366)
O (0.260, 0.269, 0.634)
O (0.240, 0.231, 0.134)
O (0.760, 0.769, 0.866)
O (0.000, 0.424, 0.364)
O (0.500, 0.603, 0.099)
O (0.260, 0.731, 0.366)
O (0.760, 0.231, 0.134)
O (0.000, 0.576, 0.636)
O (0.500, 0.424, 0.363)
O (0.000, 0.924, 0.137)
O (0.000, 0.897, 0.599)
O (0.000, 0.103, 0.401)
O (0.500, 0.397, 0.901)
O (0.740, 0.269, 0.634)
O (0.500, 0.924, 0.136)
Al (0.000, 0.129, 0.639)
Al (0.500, 0.371, 0.139)
Al (0.000, 0.871, 0.361)
Al (0.742, 0.500, 0.500)
Al (0.758, 0.000, 0.000)
Al (0.258, 0.500, 0.500)
Al (0.242, 0.000, 0.000)
Al (0.500, 0.629, 0.861)
Si (0.000, 0.246, 0.252)
Si (0.000, 0.754, 0.748)
Si (0.500, 0.746, 0.248)
Si (0.500, 0.254, 0.752)

---

Most stable: version 2 (next structure +52 meV/atom)

---

Version 1
## BaSrLaBiO6 (PBE-GGA)

Data for a relaxed BaSrLaBiO6 crystal.

Results
* crystal system: triclinic

a b c (Å): 6.179 6.256 8.796
angles (deg): 90.14 89.67 89.94
Atoms (fractional coordinates):
Bi (0.000, 0.500, 0.000)
Bi (0.500, 0.000, 0.500)
O (0.903, 0.516, 0.764)
O (0.778, 0.801, 0.465)
O (0.426, 0.953, 0.263)
O (0.802, 0.776, 0.044)
O (0.097, 0.484, 0.236)
O (0.278, 0.696, 0.948)
O (0.574, 0.047, 0.737)
O (0.690, 0.282, 0.448)
O (0.722, 0.304, 0.052)
O (0.198, 0.224, 0.956)
O (0.310, 0.718, 0.552)
O (0.222, 0.199, 0.535)
Ba (0.007, 0.967, 0.750)
Ba (0.993, 0.033, 0.250)
Sr (0.491, 0.462, 0.749)
Sr (0.509, 0.538, 0.251)
La (0.500, 0.000, 0.000)
La (0.000, 0.500, 0.500)

---

Version 2
## BaSrLaBiO6 (PBE-GGA)

Data for a relaxed BaSrLaBiO6 crystal.

Results
* crystal system: cubic

a b c (Å): 6.283 6.283 6.283
angles (deg): 60.00 60.00 60.00
Atoms (fractional coordinates):
Bi (0.000, 0.000, 0.000)
Ba (0.750, 0.750, 0.750)
O (0.239, 0.239, 0.761)
O (0.761, 0.239, 0.761)
O (0.761, 0.761, 0.239)
O (0.239, 0.761, 0.761)
O (0.239, 0.761, 0.239)
O (0.761, 0.239, 0.239)
Sr (0.250, 0.250, 0.250)
La (0.500, 0.500, 0.500)

---

Most stable: version 1 (next structure +78 meV/atom)

---

Version 1
## Ca2SiO4 (PBE-GGA)

Data for a relaxed Ca2SiO4 crystal.

Results
* crystal system: monoclinic

a b c (Å): 9.850 8.350 9.877
angles (deg): 85.17 90.00 90.00
Atoms (fractional coordinates):
Si (0.927, 0.459, 0.301)
Si (0.573, 0.459, 0.801)
Si (0.427, 0.541, 0.199)
Si (0.073, 0.541, 0.699)
Si (0.703, 0.977, 0.430)
Si (0.203, 0.023, 0.070)
Si (0.797, 0.977, 0.930)
Si (0.297, 0.023, 0.570)
O (0.097, 0.539, 0.866)
O (0.620, 0.821, 0.502)
O (0.634, 0.938, 0.908)
O (0.369, 0.953, 0.714)
O (0.507, 0.283, 0.858)
O (0.403, 0.539, 0.366)
O (0.366, 0.062, 0.092)
O (0.547, 0.409, 0.175)
O (0.880, 0.821, 0.002)
O (0.120, 0.179, 0.998)
O (0.993, 0.283, 0.358)
O (0.493, 0.717, 0.142)
O (0.953, 0.409, 0.675)
O (0.597, 0.461, 0.634)
O (0.215, 0.506, 0.622)
O (0.699, 0.130, 0.527)
O (0.007, 0.717, 0.642)
O (0.453, 0.591, 0.825)
O (0.715, 0.494, 0.878)
O (0.199, 0.870, 0.973)
O (0.631, 0.047, 0.286)
O (0.903, 0.461, 0.134)
O (0.380, 0.179, 0.498)
O (0.285, 0.506, 0.122)
O (0.785, 0.494, 0.378)
O (0.131, 0.953, 0.214)
O (0.134, 0.062, 0.592)
O (0.869, 0.047, 0.786)
O (0.801, 0.130, 0.027)
O (0.301, 0.870, 0.473)
O (0.047, 0.591, 0.325)
O (0.866, 0.938, 0.408)
Ca (0.713, 0.621, 0.075)
Ca (0.787, 0.621, 0.575)
Ca (0.933, 0.097, 0.211)
Ca (0.067, 0.903, 0.789)
Ca (0.433, 0.903, 0.289)
Ca (0.421, 0.823, 0.928)
Ca (0.287, 0.379, 0.925)
Ca (0.213, 0.379, 0.425)
Ca (0.418, 0.660, 0.586)
Ca (0.567, 0.097, 0.711)
Ca (0.918, 0.340, 0.914)
Ca (0.582, 0.340, 0.414)
Ca (0.921, 0.177, 0.572)
Ca (0.082, 0.660, 0.086)
Ca (0.079, 0.823, 0.428)
Ca (0.579, 0.177, 0.072)

---

Version 2
## Ca2SiO4 (PBE-GGA)

Data for a relaxed Ca2SiO4 crystal.

Results
* crystal system: monoclinic

a b c (Å): 5.763 5.763 6.883
angles (deg): 86.61 86.61 55.75
Atoms (fractional coordinates):
O (0.538, 0.743, 0.016)
O (0.893, 0.338, 0.749)
O (0.662, 0.107, 0.251)
O (0.215, 0.608, 0.352)
O (0.257, 0.462, 0.984)
O (0.392, 0.785, 0.648)
O (0.150, 0.201, 0.282)
O (0.799, 0.850, 0.718)
Si (0.325, 0.343, 0.206)
Si (0.657, 0.675, 0.794)
Ca (0.049, 0.951, 0.000)
Ca (0.630, 0.724, 0.321)
Ca (0.973, 0.027, 0.500)
Ca (0.276, 0.370, 0.679)

---

Most stable: version 1 (next structure +83 meV/atom)

---

Version 1
## Mg16Si8HO32 (PBE-GGA)

Data for a relaxed Mg16Si8HO32 crystal.

Results
* crystal system: triclinic

a b c (Å): 8.211 8.210 8.233
angles (deg): 89.86 89.57 89.89
Atoms (fractional coordinates):
O (0.128, 0.368, 0.126)
O (0.881, 0.119, 0.119)
O (0.883, 0.381, 0.381)
O (0.870, 0.369, 0.867)
O (0.881, 0.881, 0.881)
O (0.616, 0.381, 0.124)
O (0.882, 0.618, 0.619)
O (0.631, 0.868, 0.131)
O (0.617, 0.122, 0.380)
O (0.380, 0.618, 0.123)
O (0.869, 0.631, 0.131)
O (0.870, 0.132, 0.630)
O (0.631, 0.630, 0.369)
O (0.868, 0.868, 0.369)
O (0.381, 0.124, 0.618)
O (0.347, 0.363, 0.371)
O (0.381, 0.884, 0.381)
O (0.370, 0.630, 0.631)
O (0.618, 0.883, 0.618)
O (0.381, 0.380, 0.890)
O (0.369, 0.868, 0.868)
O (0.128, 0.381, 0.608)
O (0.119, 0.119, 0.881)
O (0.132, 0.869, 0.631)
O (0.119, 0.882, 0.119)
O (0.631, 0.132, 0.869)
O (0.131, 0.630, 0.868)
O (0.370, 0.128, 0.126)
O (0.128, 0.128, 0.366)
O (0.618, 0.618, 0.882)
O (0.634, 0.370, 0.632)
O (0.121, 0.619, 0.380)
Mg (0.124, 0.626, 0.124)
Mg (0.627, 0.628, 0.624)
Mg (0.875, 0.626, 0.876)
Mg (0.391, 0.380, 0.651)
Mg (0.627, 0.124, 0.124)
Mg (0.875, 0.876, 0.625)
Mg (0.632, 0.376, 0.379)
Mg (0.378, 0.634, 0.377)
Mg (0.625, 0.875, 0.875)
Mg (0.375, 0.121, 0.873)
Mg (0.124, 0.874, 0.375)
Mg (0.123, 0.375, 0.874)
Mg (0.376, 0.873, 0.124)
Mg (0.873, 0.375, 0.124)
Mg (0.874, 0.123, 0.375)
Mg (0.126, 0.122, 0.627)
Si (0.998, 0.503, 0.497)
Si (0.239, 0.237, 0.233)
Si (0.750, 0.750, 0.250)
Si (0.999, 0.999, 0.000)
Si (0.500, 0.002, 0.500)
Si (0.250, 0.750, 0.750)
Si (0.501, 0.501, 0.004)
Si (0.752, 0.249, 0.751)
H (0.252, 0.367, 0.452)

---

Version 2
## Mg16Si8HO32 (PBE-GGA)

Data for a relaxed Mg16Si8HO32 crystal.

Results
* crystal system: monoclinic

a b c (Å): 6.074 9.669 10.472
angles (deg): 89.12 90.00 90.00
Atoms (fractional coordinates):
H (0.000, 0.348, 0.350)
Mg (0.000, 0.497, 0.725)
Mg (0.000, 0.992, 0.721)
Mg (0.257, 0.995, 0.994)
Mg (0.500, 0.742, 0.779)
Mg (0.255, 0.498, 0.001)
Mg (0.500, 0.004, 0.276)
Mg (0.739, 0.245, 0.510)
Mg (0.261, 0.245, 0.510)
Mg (0.258, 0.756, 0.503)
Mg (0.500, 0.249, 0.780)
Mg (0.742, 0.756, 0.503)
Mg (0.000, 0.233, 0.196)
Mg (0.745, 0.498, 0.001)
Mg (0.500, 0.500, 0.279)
Mg (0.743, 0.995, 0.994)
Mg (0.000, 0.755, 0.219)
O (0.711, 0.860, 0.161)
O (0.224, 0.613, 0.343)
O (0.721, 0.390, 0.666)
O (0.776, 0.613, 0.343)
O (0.287, 0.356, 0.160)
O (0.000, 0.869, 0.407)
O (0.000, 0.624, 0.559)
O (0.000, 0.379, 0.908)
O (0.721, 0.887, 0.664)
O (0.788, 0.137, 0.832)
O (0.500, 0.615, 0.095)
O (0.500, 0.857, 0.947)
O (0.778, 0.113, 0.337)
O (0.279, 0.887, 0.664)
O (0.500, 0.388, 0.452)
O (0.500, 0.361, 0.947)
O (0.000, 0.880, 0.905)
O (0.500, 0.634, 0.592)
O (0.500, 0.132, 0.597)
O (0.000, 0.379, 0.445)
O (0.789, 0.636, 0.839)
O (0.289, 0.860, 0.161)
O (0.211, 0.636, 0.839)
O (0.000, 0.108, 0.552)
O (0.000, 0.128, 0.041)
O (0.500, 0.894, 0.450)
O (0.713, 0.356, 0.160)
O (0.279, 0.390, 0.666)
O (0.000, 0.638, 0.052)
O (0.222, 0.113, 0.337)
O (0.212, 0.137, 0.832)
O (0.500, 0.114, 0.087)
Si (0.000, 0.711, 0.906)
Si (0.500, 0.464, 0.595)
Si (0.000, 0.210, 0.898)
Si (0.000, 0.553, 0.416)
Si (0.500, 0.284, 0.091)
Si (0.500, 0.963, 0.597)
Si (0.500, 0.784, 0.094)
Si (0.000, 0.038, 0.405)

---

Most stable: version 2 (next structure +58 meV/atom)